Entry 1:
BaSr2I6, relaxed, DFT PBE; space-group type = Pbcn; crystal system = orthorhombic; energy = -119.76 eV/cell; MP2020-corrected energy = -3.579 eV/atom; distance to the lowest polymorph of the same formula = 0.007 eV per atom
1.0
7.627 0.000 0.000
0.000 8.569 0.000
0.000 0.000 28.298
I Sr Ba
24 8 4
direct
0.259 0.592 0.871
0.741 0.408 0.129
0.765 0.929 0.035
0.765 0.429 0.965
0.741 0.908 0.871
0.750 0.934 0.206
0.241 0.092 0.629
0.735 0.429 0.465
0.250 0.566 0.706
0.259 0.092 0.129
0.265 0.571 0.535
0.759 0.408 0.629
0.759 0.908 0.371
0.750 0.434 0.794
0.250 0.066 0.294
0.250 0.566 0.206
0.235 0.071 0.965
0.265 0.071 0.465
0.750 0.434 0.294
0.250 0.066 0.794
0.735 0.929 0.535
0.235 0.571 0.035
0.241 0.592 0.371
0.750 0.934 0.706
0.000 0.750 0.953
0.000 0.750 0.285
0.500 0.750 0.453
0.500 0.750 0.785
0.500 0.250 0.547
0.000 0.250 0.715
0.500 0.250 0.215
0.000 0.250 0.047
0.000 0.250 0.381
0.500 0.750 0.119
0.000 0.750 0.619
0.500 0.250 0.881

Entry 2:
BaSr2I6, relaxed, DFT PBE; space-group type = C2/c; crystal system = monoclinic; energy = -59.65 eV/cell; MP2020-corrected energy = -3.567 eV/atom; distance to the lowest polymorph of the same formula = 0.020 eV per atom
1.0
7.745 4.534 0.000
-7.745 4.534 0.000
0.000 1.201 11.860
I Sr Ba
12 4 2
direct
0.610 0.697 0.866
0.303 0.390 0.634
0.066 0.452 0.305
0.242 0.978 0.467
0.934 0.548 0.695
0.548 0.934 0.195
0.452 0.066 0.805
0.978 0.242 0.967
0.022 0.758 0.033
0.758 0.022 0.533
0.390 0.303 0.134
0.697 0.610 0.366
0.606 0.296 0.555
0.296 0.606 0.055
0.394 0.704 0.445
0.704 0.394 0.945
0.032 0.968 0.750
0.968 0.032 0.250

Entry 3:
BaSr2I6, relaxed, DFT PBE; space-group type = Cmce; crystal system = orthorhombic; energy = -59.56 eV/cell; MP2020-corrected energy = -3.562 eV/atom; distance to the lowest polymorph of the same formula = 0.025 eV per atom
1.0
-12.931 0.680 -0.120
10.259 -1.024 7.835
0.424 8.139 0.509
I Sr Ba
12 4 2
direct
0.340 0.166 0.251
0.334 0.160 0.751
0.160 0.334 0.751
0.660 0.834 0.749
0.666 0.840 0.249
0.834 0.660 0.749
0.983 0.483 0.250
0.483 0.983 0.250
0.166 0.340 0.251
0.017 0.517 0.750
0.840 0.666 0.249
0.517 0.017 0.750
0.668 0.332 0.500
0.832 0.168 0.000
0.168 0.832 0.000
0.332 0.668 0.500
0.000 0.000 0.500
0.500 0.500 0.000

Entry 4:
BaSr2I6, relaxed, DFT PBE; space-group type = C2/c; crystal system = monoclinic; energy = -59.26 eV/cell; MP2020-corrected energy = -3.545 eV/atom; distance to the lowest polymorph of the same formula = 0.041 eV per atom
1.0
3.953 13.149 0.000
-3.953 13.149 0.000
0.000 0.849 8.935
Sr I Ba
4 12 2
direct
0.603 0.054 0.635
0.946 0.397 0.865
0.054 0.603 0.135
0.397 0.946 0.365
0.368 0.497 0.077
0.880 0.908 0.876
0.673 0.760 0.641
0.503 0.632 0.423
0.632 0.503 0.923
0.092 0.120 0.624
0.908 0.880 0.376
0.497 0.368 0.577
0.120 0.092 0.124
0.760 0.673 0.141
0.240 0.327 0.859
0.327 0.240 0.359
0.266 0.734 0.750
0.734 0.266 0.250

Entry 5:
BaSr2I6, relaxed, DFT PBE; space-group type = P-4b2; crystal system = tetragonal; energy = -119.20 eV/cell; MP2020-corrected energy = -3.564 eV/atom; distance to the lowest polymorph of the same formula = 0.022 eV per atom
1.0
8.170 0.000 0.000
0.000 8.170 0.000
0.000 0.000 24.566
Sr I Ba
8 24 4
direct
0.500 0.000 0.832
0.500 0.500 0.331
0.500 0.000 0.168
0.500 0.500 0.669
0.000 0.000 0.669
0.000 0.500 0.832
0.000 0.000 0.331
0.000 0.500 0.168
0.742 0.266 0.413
0.758 0.766 0.413
0.235 0.265 0.250
0.265 0.765 0.750
0.734 0.742 0.587
0.765 0.735 0.750
0.735 0.235 0.250
0.242 0.234 0.413
0.235 0.744 0.087
0.765 0.735 0.250
0.234 0.758 0.587
0.735 0.235 0.750
0.266 0.258 0.587
0.756 0.265 0.913
0.744 0.765 0.913
0.244 0.735 0.913
0.235 0.265 0.750
0.766 0.242 0.587
0.256 0.235 0.913
0.735 0.756 0.087
0.765 0.256 0.087
0.265 0.244 0.087
0.258 0.734 0.413
0.265 0.765 0.250
0.000 0.500 0.500
0.500 0.000 0.500
0.500 0.500 0.000
0.000 0.000 0.000

Entry 6:
BaSr2I6, relaxed, DFT PBE; space-group type = P321; crystal system = trigonal; energy = -89.55 eV/cell; MP2020-corrected energy = -3.569 eV/atom; distance to the lowest polymorph of the same formula = 0.017 eV per atom
1.0
7.239 -12.539 0.000
7.239 12.539 0.000
0.000 0.000 7.531
Ba I Sr
3 18 6
direct
0.333 0.667 0.494
0.667 0.333 0.506
0.000 0.000 0.000
0.864 0.095 0.251
0.530 0.106 0.248
0.564 0.779 0.243
0.905 0.770 0.251
0.575 0.470 0.248
0.221 0.785 0.243
0.425 0.894 0.752
0.779 0.564 0.757
0.470 0.575 0.752
0.106 0.530 0.752
0.785 0.221 0.757
0.136 0.230 0.749
0.436 0.215 0.757
0.230 0.136 0.251
0.894 0.425 0.248
0.095 0.864 0.749
0.215 0.436 0.243
0.770 0.905 0.749
0.000 0.311 0.500
0.689 0.689 0.500
0.000 0.645 0.000
0.311 0.000 0.500
0.645 0.000 0.000
0.355 0.355 0.000

Entry 7:
BaSr2I6, relaxed, DFT PBE; space-group type = P2_1/c; crystal system = monoclinic; energy = -118.31 eV/cell; MP2020-corrected energy = -3.539 eV/atom; distance to the lowest polymorph of the same formula = 0.047 eV per atom
1.0
-3.150 -8.609 -3.949
3.858 -4.970 7.758
-10.896 -2.609 14.379
Sr I Ba
8 24 4
direct
0.460 0.374 0.757
0.540 0.626 0.243
0.836 0.312 0.581
0.664 0.312 0.081
0.336 0.688 0.919
0.960 0.626 0.743
0.164 0.688 0.419
0.040 0.374 0.257
0.170 0.386 0.622
0.971 0.773 0.543
0.019 0.035 0.274
0.154 0.950 0.937
0.670 0.614 0.878
0.981 0.965 0.726
0.330 0.386 0.122
0.694 0.307 0.276
0.654 0.050 0.563
0.346 0.950 0.437
0.471 0.227 0.957
0.806 0.307 0.776
0.906 0.556 0.078
0.029 0.227 0.457
0.846 0.050 0.063
0.306 0.693 0.724
0.594 0.556 0.578
0.481 0.035 0.774
0.529 0.773 0.043
0.519 0.965 0.226
0.194 0.693 0.224
0.094 0.444 0.922
0.406 0.444 0.422
0.830 0.614 0.378
0.190 0.086 0.085
0.690 0.914 0.415
0.810 0.914 0.915
0.310 0.086 0.585

Entry 8:
BaSr2I6, relaxed, DFT PBE; space-group type = P2_1/c; crystal system = monoclinic; energy = -119.28 eV/cell; MP2020-corrected energy = -3.566 eV/atom; distance to the lowest polymorph of the same formula = 0.020 eV per atom
1.0
8.280 0.000 0.000
0.000 8.503 0.000
0.000 1.050 24.767
I Sr Ba
24 8 4
direct
0.786 0.139 0.518
0.214 0.104 0.660
0.194 0.368 0.983
0.714 0.896 0.840
0.694 0.632 0.517
0.806 0.632 0.017
0.714 0.139 0.018
0.805 0.045 0.180
0.773 0.404 0.854
0.227 0.596 0.146
0.695 0.045 0.680
0.239 0.465 0.313
0.306 0.368 0.483
0.727 0.404 0.354
0.214 0.861 0.482
0.305 0.955 0.320
0.761 0.535 0.687
0.786 0.896 0.340
0.195 0.955 0.820
0.273 0.596 0.646
0.286 0.861 0.982
0.286 0.104 0.160
0.739 0.535 0.187
0.261 0.465 0.813
0.470 0.662 0.407
0.962 0.232 0.757
0.038 0.768 0.243
0.462 0.768 0.743
0.530 0.338 0.593
0.538 0.232 0.257
0.030 0.662 0.907
0.970 0.338 0.093
0.961 0.833 0.594
0.461 0.167 0.906
0.539 0.833 0.094
0.039 0.167 0.406

What is the MP2020-corrected energy in the third record? -3.562 eV/atom